1.
A geometry-optimized NaCo3O6 structure. Source: the Materials Project database, functional PBE+U.

Cell: 8.5739 4.9752 5.5372 Å, 61.95 56.89 30.35°
Fractional coordinates of all 10 atoms:
O: 0.4070 0.3026 0.8332
O: 0.7577 0.2820 0.8328
Co: 0.4857 0.9459 0.6274
O: 0.8310 0.7894 0.2850
Co: 0.6678 0.9693 0.0279
O: 0.0844 0.2770 0.8237
Co: 0.9988 0.9639 0.0685
Na: 0.2029 0.9616 0.4401
O: 0.2653 0.5454 0.2733
O: 0.6567 0.5848 0.2832

ΔE to the lowest computed polymorph (meV/atom): 209
Crystal system: triclinic
Total energy after the MP2020 corrections (eV/atom): -6.398


2.
A geometry-optimized CaCo8O16 structure. Source: the Materials Project database, functional PBE+U.

Cell: 2.9272 2.9138 40.6662 Å, 90.37 89.59 119.75°
Fractional coordinates of all 25 atoms:
O: 0.0828 0.6797 0.2728
O: 0.7390 0.3538 0.7249
O: 0.7486 0.3543 0.6510
O: 0.7856 0.6428 0.5231
Co: 0.6270 0.9926 0.8755
O: 0.6395 0.3319 0.9778
Co: 0.0654 0.0179 0.7575
O: 0.2920 0.3272 0.8977
O: 0.1944 0.3422 0.4759
O: 0.9616 0.6581 0.8532
Co: 0.3864 0.0108 0.1248
Co: 0.7503 0.0115 0.2505
O: 0.4178 0.3434 0.2283
O: 0.4862 0.6642 0.3525
Ca: 0.4081 0.6869 0.6879
O: 0.3045 0.6684 0.0222
O: 0.7220 0.6765 0.1025
Co: 0.0916 0.0151 0.6173
O: 0.4091 0.7021 0.5961
O: 0.3975 0.6853 0.7778
O: 0.8164 0.3333 0.3970
O: 0.0509 0.3450 0.1470
Co: 0.4903 0.9928 0.4995
Co: 0.1513 0.9988 0.3748
Co: 0.9720 0.0001 0.0000

Crystal system: triclinic
Total energy after the MP2020 corrections (eV/atom): -6.626


3.
A geometry-optimized MoO3 structure. Source: the Materials Project database, functional PBE+U.

Cell: 5.2810 5.3081 10.4767 Å, 82.98 90.00 90.00°
Fractional coordinates of all 16 atoms:
O: 0.4978 0.8301 0.9909
O: 0.4834 0.9752 0.5103
Mo: 0.2438 0.6854 0.5411
O: 0.5022 0.3301 0.9909
O: 0.5166 0.4752 0.5103
Mo: 0.7562 0.1854 0.5411
Mo: 0.7468 0.5865 0.0401
O: 0.9922 0.3206 0.0020
O: 0.7882 0.1436 0.7041
O: 0.0073 0.4592 0.4867
O: 0.7332 0.5507 0.2040
Mo: 0.2532 0.0865 0.0401
O: 0.0078 0.8206 0.0020
O: 0.9927 0.9592 0.4867
O: 0.2668 0.0507 0.2040
O: 0.2118 0.6436 0.7041

Crystal system: monoclinic
Total energy after the MP2020 corrections (eV/atom): -8.288


| no. | energy of formation from the pure elements (meV per atom) |
| --- | --- |
| 1 | -1164 |
| 2 | -1104 |
| 3 | -1865 |